1.
A plane-wave DFT calculation with PBE+U was carried out for an optimized crystal structure of Nb2Zn2CrO8.

Cell and atoms, written as POSCAR:
```
Nb2Zn2CrO8
1.0
9.781 -2.998 0.000
9.781 2.998 0.000
-0.078 0.000 5.287
Nb Zn Cr O
4 4 2 16
direct
0.072 0.392 0.972
0.159 0.841 0.500
0.392 0.072 0.472
0.841 0.159 0.000
0.240 0.553 0.003
0.553 0.240 0.503
0.683 0.990 0.975
0.990 0.683 0.475
0.466 0.765 0.997
0.765 0.466 0.497
0.041 0.834 0.802
0.080 0.297 0.305
0.167 0.924 0.168
0.190 0.402 0.675
0.278 0.567 0.375
0.297 0.080 0.805
0.402 0.190 0.175
0.416 0.700 0.666
0.551 0.795 0.334
0.567 0.278 0.875
0.665 0.957 0.604
0.700 0.416 0.166
0.795 0.551 0.834
0.834 0.041 0.302
0.924 0.167 0.668
0.957 0.665 0.104
```

The calculation puts the formation energy at -2.481 eV per atom. As for the calculated volume: 11.925 Å³ per atom.

=====

2.
A plane-wave DFT calculation with PBE+U was carried out for an optimized crystal structure of Sr2Nd2CrNiO8.

Cell and atoms, written as POSCAR:
```
Sr2Nd2CrNiO8
1.0
5.455 0.000 0.000
0.000 2.718 6.262
0.000 -2.718 6.262
Sr Nd Cr Ni O
2 2 1 1 8
direct
0.000 0.000 0.000
0.500 0.209 0.209
0.000 0.716 0.716
0.500 0.492 0.492
0.000 0.354 0.354
0.500 0.856 0.856
0.000 0.194 0.194
0.000 0.527 0.527
0.252 0.100 0.607
0.252 0.607 0.100
0.500 0.018 0.018
0.500 0.675 0.675
0.748 0.100 0.607
0.748 0.607 0.100
```

The calculation puts the formation energy at -2.850 eV per atom. As for the calculated volume: 13.264 Å³ per atom.

=====

Magnetic moment, record by record: 8.00 4.00 μB/cell